## NiNF3 (GGA+U)

Data for a geometry-optimized NiNF3 structure.

Cell and atoms, written as POSCAR:
```
NiNF3
1.0
5.497 0.000 0.000
-2.749 4.761 0.000
0.000 0.000 14.229
Ni N F
6 6 18
Direct
0.000 0.000 0.000
0.000 0.000 0.500
0.333 0.667 0.155
0.333 0.667 0.345
0.667 0.333 0.655
0.667 0.333 0.845
0.000 0.000 0.250
0.000 0.000 0.750
0.333 0.667 0.598
0.333 0.667 0.902
0.667 0.333 0.098
0.667 0.333 0.402
0.028 0.514 0.250
0.165 0.330 0.079
0.165 0.330 0.421
0.165 0.835 0.079
0.165 0.835 0.421
0.330 0.165 0.579
0.330 0.165 0.921
0.486 0.514 0.250
0.486 0.972 0.250
0.514 0.028 0.750
0.514 0.486 0.750
0.670 0.835 0.079
0.670 0.835 0.421
0.835 0.165 0.579
0.835 0.165 0.921
0.835 0.670 0.579
0.835 0.670 0.921
0.972 0.486 0.750
```

## Properties
Total energy after the MP2020 corrections: -130.58 eV for the cell shown
Formation energy: -381 meV/atom
Crystal system: hexagonal
Energy above the lowest structure with this stoichiometry: 0 meV per atom
ρ: 3.47 Mg/m³
Energy: -3.5674 eV/atom